Entry 1:
Here is VO2 after structural relaxation from the Materials Project. Energies are from PBE+U.

Cell: 2.9380 4.9496 9.3574 Å, 90.03 92.42 90.38°
Space group P1 (No. 1)
Symmetry-distinct sites (fractional):
V  0.0000  0.0000  0.0000
V  0.0048  0.3416  0.4980
V  0.5129  0.8411  0.2745
V  0.5235  0.4943  0.7713
O  0.0177  0.7120  0.1645
O  0.0270  0.6281  0.6599
O  0.4960  0.5407  0.4045
O  0.5020  0.1276  0.1152
O  0.5175  0.2179  0.6158
O  0.5350  0.8157  0.9000
O  0.9956  0.3178  0.8774
O  0.9992  0.0380  0.3763

Properties
Raw total energy: -0.2834 hartree per atom



Entry 2:
Here is V2O3 after structural relaxation from the Materials Project. Energies are from PBE+U.

Cell: 10.7701 5.5580 5.7608 Å, 90.00 120.25 90.00°
Space group C2/c (No. 15)
Symmetry-distinct sites (fractional):
V  0.1946  0.0003  0.4478
O  0.0000  0.0022  0.2500
O  0.2326  0.2810  0.7342

Properties
Raw total energy: -0.2843 hartree per atom



Entry 3:
Here is VO2 after structural relaxation from the Materials Project. Energies are from PBE+U.

Cell: 2.9330 7.3596 7.4151 Å, 88.48 80.02 81.12°
Space group P-1 (No. 2)
Symmetry-distinct sites (fractional):
V  0.1671  0.1811  0.0186
V  0.3264  0.5185  0.3195
O  0.0186  0.6210  0.7937
O  0.2852  0.3658  0.5538
O  0.3240  0.9461  0.8663
O  0.3700  0.7038  0.1195

Properties
Raw total energy: -0.2837 hartree per atom



Entry 4:
Here is V2O3 after structural relaxation from the Materials Project. Energies are from PBE+U.

Cell: 5.1348 5.4701 15.0683 Å, 90.00 90.00 90.00°
Space group Pbca (No. 61)
Symmetry-distinct sites (fractional):
V  0.0006  0.1839  0.0734
V  0.0028  0.2492  0.3208
O  0.1420  0.1160  0.2025
O  0.1501  0.6637  0.5509
O  0.1992  0.5331  0.8754

Properties
Raw total energy: -0.2945 hartree per atom



Entry 5:
Here is V3O5 after structural relaxation from the Materials Project. Energies are from PBE+U.

Cell: 10.1787 5.1957 7.1090 Å, 90.00 112.19 90.00°
Space group Cc (No. 9)
Symmetry-distinct sites (fractional):
V  0.0000  0.0016  0.0000
V  0.2411  0.4970  0.0593
V  0.3686  0.0059  0.7829
O  0.0697  0.3569  0.9472
O  0.1844  0.1617  0.6188
O  0.2900  0.3471  0.3372
O  0.3694  0.1988  0.0362
O  0.4476  0.3492  0.7214

Properties
Excess energy over the best structure of this formula in the dataset: 3 meV per atom
Raw total energy: -0.2922 hartree per atom



Entry 6:
Here is V2O5 after structural relaxation from the Materials Project. Energies are from PBE+U.

Cell: 11.7180 12.6202 13.1395 Å, 89.26 85.97 87.93°
Space group P1 (No. 1)
Symmetry-distinct sites (fractional):
V  0.0000  0.0000  0.0000
V  0.0029  0.8269  0.4064
V  0.0174  0.4359  0.4416
V  0.0236  0.6555  0.7229
V  0.0881  0.4065  0.8090
V  0.1432  0.0672  0.4007
V  0.1770  0.0168  0.7944
V  0.2049  0.6360  0.4828
V  0.2613  0.6617  0.2153
V  0.2828  0.3704  0.4326
V  0.3080  0.4323  0.9728
V  0.3205  0.9181  0.2341
V  0.3598  0.1834  0.8802
V  0.3904  0.5165  0.5534
V  0.4326  0.8824  0.6974
V  0.4393  0.9543  0.0159
V  0.4478  0.6686  0.9816
V  0.4974  0.2116  0.3341
V  0.5922  0.9667  0.2312
V  0.5968  0.2377  0.5641
V  0.6110  0.8369  0.4915
V  0.6139  0.4510  0.2541
V  0.6774  0.0310  0.7271
V  0.7081  0.3734  0.0080
V  0.7568  0.4085  0.4762
V  0.7602  0.9956  0.4038
V  0.8095  0.8169  0.6281
V  0.8808  0.8451  0.2075
V  0.9200  0.2276  0.3370
V  0.9651  0.2657  0.0132
O  0.0068  0.5162  0.7643
O  0.0098  0.3057  0.8906
O  0.0269  0.1343  0.0369
O  0.0470  0.9615  0.4125
O  0.0538  0.3273  0.1196
O  0.0660  0.1731  0.3409
O  0.0695  0.0341  0.7254
O  0.0780  0.5561  0.4242
O  0.0878  0.7159  0.8096
O  0.1113  0.3452  0.4874
O  0.1109  0.6556  0.6109
O  0.1244  0.9607  0.9161
O  0.1297  0.7654  0.4379
O  0.1392  0.6228  0.1845
O  0.1482  0.3428  0.7130
O  0.1805  0.0973  0.5122
O  0.1945  0.4528  0.8857
O  0.2299  0.1440  0.8248
O  0.2365  0.8111  0.2353
O  0.2439  0.4850  0.5372
O  0.2546  0.4078  0.3192
O  0.2548  0.4547  0.0872
O  0.2670  0.0151  0.3220
O  0.2812  0.6272  0.3410
O  0.2924  0.9416  0.7248
O  0.3192  0.9745  0.1092
O  0.3307  0.2862  0.9702
O  0.3445  0.6570  0.5267
O  0.3621  0.2268  0.3884
O  0.3679  0.6668  0.1047
O  0.4106  0.5296  0.9484
O  0.4199  0.0570  0.9254
O  0.4270  0.6803  0.8280
O  0.4294  0.4919  0.6674
O  0.4333  0.8274  0.9723
O  0.4382  0.4185  0.4625
O  0.4411  0.7715  0.7759
O  0.4469  0.2276  0.7917
O  0.4599  0.8788  0.2529
O  0.4631  0.8614  0.5693
O  0.4644  0.2358  0.6029
O  0.5222  0.1028  0.2520
O  0.5233  0.5485  0.2428
O  0.5367  0.3267  0.2670
O  0.5402  0.9694  0.7321
O  0.5551  0.9731  0.0822
O  0.5816  0.6560  0.0001
O  0.5867  0.3282  0.9748
O  0.5944  0.1922  0.4323
O  0.6119  0.9567  0.3795
O  0.6195  0.7358  0.4159
O  0.6499  0.3747  0.5722
O  0.6759  0.1404  0.6321
O  0.6820  0.7614  0.6157
O  0.6855  0.0856  0.8360
O  0.6957  0.4354  0.1395
O  0.6967  0.4681  0.3692
O  0.7343  0.9332  0.5306
O  0.7361  0.9410  0.2008
O  0.7644  0.4514  0.9191
O  0.7895  0.9288  0.7163
O  0.8045  0.2851  0.4414
O  0.8206  0.2573  0.0212
O  0.8267  0.7418  0.1622
O  0.8501  0.8866  0.3492
O  0.8516  0.1056  0.3917
O  0.8781  0.2238  0.2225
O  0.8786  0.4673  0.5194
O  0.8850  0.7258  0.7064
O  0.8904  0.0076  0.9331
O  0.9117  0.7958  0.5175
O  0.9667  0.3731  0.3350
O  0.9673  0.9179  0.1110
O  0.9851  0.4016  0.0809
O  0.9983  0.7788  0.2792

Properties
Raw total energy: -0.2685 hartree per atom



Entry 7:
Here is V2O5 after structural relaxation from the Materials Project. Energies are from PBE+U.

Cell: 3.6347 11.4193 6.3249 Å, 90.00 90.00 90.00°
Space group Pmmn (No. 59, origin choice 2)
Symmetry-distinct sites (fractional):
V  0.2500  0.1011  0.0840
O  0.2500  0.1102  0.3369
O  0.2500  0.2500  0.9849
O  0.2500  0.5684  0.9914

Properties
Raw total energy: -0.2732 hartree per atom



Entry 8:
Here is VO2 after structural relaxation from the Materials Project. Energies are from PBE+U.

Cell: 5.7193 5.7358 5.7529 Å, 117.83 98.61 112.23°
Space group P-1 (No. 2)
Symmetry-distinct sites (fractional):
V  0.0000  0.0000  0.0000
V  0.1560  0.7494  0.4051
V  0.5000  0.5000  0.0000
O  0.1939  0.4634  0.7316
O  0.2320  0.9621  0.2680
O  0.2606  0.0185  0.7808
O  0.2633  0.4688  0.2305

Properties
Raw total energy: -0.2825 hartree per atom



Entry 9:
Here is V12O29 after structural relaxation from the Materials Project. Energies are from PBE+U.

Cell: 28.4509 3.6711 10.3268 Å, 90.00 102.33 90.00°
Space group C2/m (No. 12)
Symmetry-distinct sites (fractional):
V  0.0625  0.0000  0.0862
V  0.0863  0.5000  0.8557
V  0.1079  0.5000  0.5321
V  0.1488  0.0000  0.3432
V  0.1785  0.0000  0.0266
V  0.1975  0.5000  0.7926
O  0.0000  0.0000  0.0000
O  0.0328  0.5000  0.7664
O  0.0506  0.5000  0.4975
O  0.0584  0.0000  0.2406
O  0.0711  0.5000  0.0390
O  0.0993  0.0000  0.9026
O  0.1233  0.5000  0.7214
O  0.1246  0.0000  0.5149
O  0.1309  0.5000  0.3646
O  0.1385  0.0000  0.1610
O  0.1666  0.5000  0.9753
O  0.1932  0.0000  0.8399
O  0.2016  0.5000  0.6386
O  0.2060  0.0000  0.3880
O  0.2365  0.0000  0.1223

Properties
Raw total energy: -0.2741 hartree per atom



Entry 10:
Here is VO2 after structural relaxation from the Materials Project. Energies are from PBE+U.

Cell: 8.3607 8.3939 5.9199 Å, 90.00 134.92 90.00°
Space group C2/c (No. 15)
Symmetry-distinct sites (fractional):
V  0.0000  0.0000  0.0000
V  0.2500  0.2500  0.0000
O  0.0046  0.2334  0.9727
O  0.2179  0.0166  0.9620

Properties
Raw total energy: -0.2800 hartree per atom



Entry 11:
Here is V9O20 after structural relaxation from the Materials Project. Energies are from PBE+U.

Cell: 6.1935 6.7983 8.9895 Å, 88.69 89.97 79.21°
Space group P1 (No. 1)
Symmetry-distinct sites (fractional):
V  0.0000  0.0000  0.0000
V  0.0284  0.7291  0.6646
V  0.0818  0.9351  0.3559
V  0.1816  0.2237  0.6565
V  0.3412  0.5824  0.9337
V  0.4676  0.3812  0.2807
V  0.5244  0.8221  0.2000
V  0.6278  0.3542  0.6858
V  0.8683  0.4902  0.4071
O  0.0328  0.2197  0.8630
O  0.0382  0.2364  0.3357
O  0.0640  0.0017  0.5913
O  0.0690  0.7689  0.8765
O  0.1984  0.3215  0.4244
O  0.2158  0.9550  0.1515
O  0.3008  0.4370  0.0868
O  0.3094  0.6665  0.3206
O  0.3170  0.4925  0.7289
O  0.4036  0.8056  0.4142
O  0.4577  0.1261  0.6741
O  0.5258  0.7781  0.9689
O  0.5798  0.1041  0.2220
O  0.6202  0.3842  0.4710
O  0.6466  0.5860  0.9086
O  0.7101  0.5445  0.2306
O  0.8054  0.1799  0.8398
O  0.8057  0.9906  0.1920
O  0.9166  0.7426  0.4546
O  0.9177  0.4579  0.6366

Properties
Raw total energy: -0.2630 hartree per atom